# 1
YAlO3 | the Materials Project | GGA-PBE | relaxed; VASP energy = -8.2781 eV per atom; calculated formation energy = -3.679 eV/atom
1.0
3.361 -5.840 0.000
3.361 5.840 0.000
0.000 0.000 10.118
O Y Al
18 6 6
Cartesian
3.861 0.000 2.530 O
4.407 -2.079 4.167 O
3.122 4.341 2.530 O
5.459 0.000 9.271 O
4.407 2.079 0.892 O
3.599 -4.341 7.589 O
2.314 -2.079 9.226 O
3.599 4.341 7.589 O
4.407 2.079 4.167 O
2.314 2.079 9.226 O
1.262 0.000 4.212 O
4.407 -2.079 0.892 O
2.860 0.000 7.589 O
2.314 2.079 5.951 O
2.314 -2.079 5.951 O
3.122 -4.341 2.530 O
5.459 0.000 5.906 O
1.262 0.000 0.847 O
3.361 -3.856 0.000 Y
3.361 3.856 5.059 Y
3.361 0.000 0.000 Y
3.361 3.856 0.000 Y
3.361 -3.856 5.059 Y
3.361 0.000 5.059 Y
0.717 0.000 2.530 Al
2.017 1.570 7.589 Al
4.705 -1.570 2.530 Al
2.017 -1.570 7.589 Al
4.705 1.570 2.530 Al
6.004 0.000 7.589 Al

***

# 2
Y4Al2O9 | the Materials Project | GGA-PBE | relaxed; VASP energy = -8.5854 eV per atom; calculated formation energy = -3.805 eV/atom; E above lowest polymorph = 0.0 meV per atom
1.0
10.561 0.000 0.000
0.000 7.437 0.000
0.000 3.569 10.680
O Al Y
36 8 16
Cartesian
10.475 4.638 4.188 O
10.382 2.837 1.704 O
7.810 6.413 6.584 O
2.531 2.541 2.471 O
2.529 6.378 9.437 O
2.516 6.778 2.697 O
7.797 2.444 2.643 O
5.460 4.622 7.044 O
2.465 0.615 0.200 O
5.220 10.050 9.540 O
2.751 4.593 4.097 O
7.709 4.346 4.940 O
5.366 6.423 9.528 O
2.429 4.875 0.400 O
5.452 8.194 6.984 O
10.389 6.409 1.644 O
5.101 6.385 3.636 O
8.096 10.392 10.480 O
8.029 8.466 8.210 O
5.341 0.957 1.140 O
2.852 6.660 5.740 O
2.764 8.562 8.038 O
8.032 4.628 1.244 O
7.812 6.681 2.870 O
0.060 8.265 4.200 O
10.500 2.741 6.480 O
0.179 8.169 8.976 O
7.745 8.607 5.140 O
8.045 4.229 7.983 O
0.085 6.368 6.492 O
5.109 2.812 3.697 O
2.816 2.399 5.540 O
2.749 4.325 7.811 O
8.132 6.131 10.280 O
0.171 4.597 9.037 O
5.195 4.583 1.152 O
7.170 8.061 6.707 Al
1.866 8.025 9.462 Al
1.890 4.730 9.313 Al
3.415 6.240 4.121 Al
8.671 6.276 1.367 Al
8.695 2.981 1.219 Al
3.391 2.945 3.973 Al
7.146 4.766 6.559 Al
6.622 8.260 10.024 Y
4.122 6.442 7.633 Y
1.342 4.531 5.997 Y
1.288 8.318 6.227 Y
9.546 10.143 8.604 Y
4.266 2.648 7.417 Y
3.992 6.533 0.887 Y
6.295 8.358 3.263 Y
9.219 6.475 4.683 Y
6.439 4.564 3.047 Y
3.939 2.747 0.657 Y
9.402 6.349 8.388 Y
1.159 4.658 2.293 Y
6.569 4.473 9.794 Y
9.273 2.688 4.453 Y
1.015 0.863 2.077 Y

***

# 3
YAlO3 | the Materials Project | GGA-PBE | relaxed; VASP energy = -8.2928 eV per atom; calculated formation energy = -3.694 eV/atom
1.0
4.524 -2.657 0.000
4.524 2.657 0.000
2.964 0.000 4.329
O Y Al
6 2 2
Cartesian
7.527 -0.397 1.082 O
4.485 0.397 3.247 O
6.630 -1.130 3.570 O
5.148 -1.527 1.406 O
6.863 1.527 2.924 O
5.382 1.130 0.759 O
3.003 0.000 1.082 Y
9.009 0.000 3.247 Y
6.006 0.000 2.165 Al
0.000 0.000 0.000 Al

***

# 4
YAlO3 | the Materials Project | GGA-PBE | relaxed; VASP energy = -8.2364 eV per atom; calculated formation energy = -3.637 eV/atom
1.0
1.744 -3.021 0.000
1.744 3.021 0.000
0.000 0.000 11.484
O Y Al
6 2 2
Cartesian
1.744 1.007 4.689 O
0.000 0.000 8.613 O
1.744 1.007 1.053 O
1.744 -1.007 10.431 O
0.000 0.000 2.871 O
1.744 -1.007 6.795 O
0.000 0.000 5.742 Y
0.000 0.000 0.000 Y
1.744 1.007 2.871 Al
1.744 -1.007 8.613 Al

***

# 5
Y4Al2O9 | the Materials Project | GGA-PBE | relaxed; VASP energy = -8.5825 eV per atom; calculated formation energy = -3.802 eV/atom; E above lowest polymorph = 2.9 meV per atom
1.0
10.528 0.000 0.000
0.000 7.420 0.000
0.000 3.539 10.674
O Al Y
36 8 16
Cartesian
7.738 3.031 5.105 O
0.018 8.333 6.496 O
5.246 6.563 1.159 O
2.476 2.993 0.396 O
2.723 9.841 7.830 O
5.386 2.751 6.873 O
8.054 4.800 10.442 O
0.033 6.502 4.206 O
7.665 4.345 2.641 O
8.052 7.966 10.277 O
2.401 4.844 2.696 O
10.406 0.982 1.537 O
7.805 1.118 2.844 O
5.231 8.271 9.543 O
2.474 6.158 0.232 O
2.384 4.465 9.425 O
7.987 2.887 8.181 O
5.532 6.287 7.158 O
4.996 4.672 3.515 O
2.541 8.072 2.493 O
10.495 4.457 6.468 O
0.122 9.977 9.137 O
5.297 2.688 1.131 O
2.788 4.763 5.733 O
2.863 6.614 8.033 O
7.648 8.263 6.586 O
7.740 6.196 4.940 O
0.268 6.442 8.852 O
8.144 6.494 1.249 O
2.790 7.928 5.569 O
10.510 2.626 4.178 O
2.880 2.695 4.088 O
10.260 4.517 1.821 O
5.142 8.207 3.800 O
8.127 6.115 7.977 O
5.281 4.396 9.515 O
7.168 6.557 6.572 Al
1.850 10.191 9.342 Al
8.624 4.787 1.235 Al
7.114 2.538 6.668 Al
3.414 8.421 4.006 Al
3.360 4.402 4.102 Al
8.678 0.768 1.331 Al
1.904 6.172 9.438 Al
1.156 2.739 2.276 Y
6.509 6.308 9.737 Y
6.420 6.450 3.061 Y
4.108 4.509 7.612 Y
1.383 2.659 5.970 Y
4.019 4.651 0.937 Y
0.996 6.447 2.089 Y
9.283 4.538 4.400 Y
9.145 8.300 4.704 Y
9.532 4.512 8.585 Y
6.647 10.069 10.041 Y
6.260 2.742 3.248 Y
9.372 8.219 8.398 Y
3.881 0.890 0.633 Y
4.268 8.217 7.426 Y
1.245 6.420 6.274 Y

***

Question: Which value of calculated formation energy does entry 5 give?
Answer: -3.802 eV/atom

***

Question: What is the calculated formation energy in the fourth record?
Answer: -3.637 eV/atom

***

Question: calculated formation energy of number 1 (YAlO3)?
Answer: -3.679 eV/atom

***

Question: What is the formula in the fourth record?
Answer: YAlO3